# Cu2OF2 | the Materials Project | PBE | relaxed
# SG: Fddd (70)
# Energy above the lowest structure with this stoichiometry, kJ/mol of formula units: 0
# Uncorrected energy, eV/f.u.: -22.53
data_Cu2OF2
_chemical_formula_sum 'Cu4 O2 F4'
_symmetry_space_group_name_H-M 'P 1'
_symmetry_Int_Tables_number 1
_symmetry_space_group_name_Hall 'P 1'
_cell_length_a 6.8718
_cell_length_b 6.0916
_cell_length_c 5.7226
_cell_angle_alpha 71.06
_cell_angle_beta 56.98
_cell_angle_gamma 51.97
loop_
_atom_site_label
_atom_site_type_symbol
_atom_site_fract_x
_atom_site_fract_y
_atom_site_fract_z
F1 F 0.9933 0.9933 0.5067
O1 O 0.2500 0.2500 0.2500
Cu1 Cu 0.1250 0.6250 0.1250
Cu2 Cu 0.6250 0.1250 0.1250
O2 O 0.0000 0.0000 0.0000
F2 F 0.5067 0.5067 0.9933
F3 F 0.2567 0.2567 0.7433
F4 F 0.7433 0.7433 0.2567
Cu3 Cu 0.1250 0.1250 0.1250
Cu4 Cu 0.1250 0.1250 0.6250

---

# Cu2OF2 | the Materials Project | PBE | relaxed
# SG: P1 (1)
# Energy above the lowest structure with this stoichiometry, kJ/mol of formula units: 18
# Uncorrected energy, eV/f.u.: -22.34
data_Cu2OF2
_chemical_formula_sum 'Cu16 O8 F16'
_symmetry_space_group_name_H-M 'P 1'
_symmetry_Int_Tables_number 1
_symmetry_space_group_name_Hall 'P 1'
_cell_length_a 8.4408
_cell_length_b 8.4436
_cell_length_c 8.3937
_cell_angle_alpha 108.67
_cell_angle_beta 108.71
_cell_angle_gamma 109.92
loop_
_atom_site_label
_atom_site_type_symbol
_atom_site_fract_x
_atom_site_fract_y
_atom_site_fract_z
O1 O 0.4473 0.7297 0.9936
F1 F 0.5783 0.3305 0.0416
Cu1 Cu 0.5186 0.0052 0.4962
F2 F 0.0102 0.4355 0.6943
Cu2 Cu 0.8208 0.3231 0.0520
O2 O 0.0762 0.0315 0.2754
F3 F 0.4820 0.7706 0.5611
Cu3 Cu 0.2966 0.2498 0.4945
F4 F 0.7811 0.7322 0.2213
F5 F 0.7569 0.9280 0.9734
F6 F 0.5134 0.4754 0.7483
Cu4 Cu 0.7598 0.9690 0.2441
Cu5 Cu 0.9398 0.1876 0.7506
F7 F 0.9361 0.9193 0.7452
Cu6 Cu 0.7263 0.7456 0.4768
Cu7 Cu 0.2704 0.0414 0.8078
O3 O 0.0244 0.2796 0.0266
F8 F 0.1983 0.4359 0.4910
Cu8 Cu 0.4742 0.5131 0.9879
F9 F 0.2705 0.7935 0.2300
O4 O 0.2784 0.0650 0.0454
O5 O 0.7500 0.5218 0.4645
Cu9 Cu 0.0444 0.7948 0.2726
F10 F 0.2143 0.2461 0.7871
F11 F 0.3097 0.0121 0.5833
F12 F 0.4441 0.5358 0.2312
F13 F 0.7173 0.2578 0.7785
Cu10 Cu 0.5192 0.2767 0.2489
Cu11 Cu 0.9814 0.5000 0.4808
F14 F 0.9473 0.6802 0.9099
Cu12 Cu 0.2200 0.5224 0.2592
F15 F 0.2280 0.7805 0.7258
F16 F 0.7563 0.1958 0.2501
O6 O 0.7428 0.9897 0.4793
Cu13 Cu 0.4727 0.7445 0.7811
Cu14 Cu 0.2090 0.7200 0.9540
O7 O 0.0142 0.5654 0.2899
Cu15 Cu 0.7303 0.4529 0.6662
O8 O 0.5038 0.2162 0.4450
Cu16 Cu 0.0358 0.0257 0.0358

---

# CuO2F | the Materials Project | PBE | relaxed
# SG: C222_1 (20)
# Uncorrected energy, eV/f.u.: -18.63
data_CuO2F
_chemical_formula_sum 'Cu2 O4 F2'
_symmetry_space_group_name_H-M 'P 1'
_symmetry_Int_Tables_number 1
_symmetry_space_group_name_Hall 'P 1'
_cell_length_a 5.2153
_cell_length_b 5.2153
_cell_length_c 3.9581
_cell_angle_alpha 90.00
_cell_angle_beta 90.00
_cell_angle_gamma 103.56
loop_
_atom_site_label
_atom_site_type_symbol
_atom_site_fract_x
_atom_site_fract_y
_atom_site_fract_z
O1 O 0.9861 0.2133 0.2194
F1 F 0.6085 0.3915 0.7500
O2 O 0.2133 0.9861 0.7806
Cu1 Cu 0.2838 0.2838 0.5000
F2 F 0.3915 0.6085 0.2500
Cu2 Cu 0.7162 0.7162 0.0000
O3 O 0.0139 0.7867 0.7194
O4 O 0.7867 0.0139 0.2806

---

# Cu6OF11 | the Materials Project | PBE | relaxed
# SG: P1 (1)
# Energy above the lowest structure with this stoichiometry, kJ/mol of formula units: 7
# Uncorrected energy, eV/f.u.: -75.42
data_Cu6OF11
_chemical_formula_sum 'Cu6 O1 F11'
_symmetry_space_group_name_H-M 'P 1'
_symmetry_Int_Tables_number 1
_symmetry_space_group_name_Hall 'P 1'
_cell_length_a 9.9545
_cell_length_b 4.5721
_cell_length_c 4.6742
_cell_angle_alpha 91.64
_cell_angle_beta 82.16
_cell_angle_gamma 90.84
loop_
_atom_site_label
_atom_site_type_symbol
_atom_site_fract_x
_atom_site_fract_y
_atom_site_fract_z
F1 F 0.6567 0.2992 0.2987
F2 F 0.3140 0.3055 0.3017
F3 F 0.8502 0.7908 0.2000
O1 O 0.0051 0.6886 0.6990
F4 F 0.3475 0.7063 0.7084
Cu1 Cu 0.9994 0.9816 0.9771
Cu2 Cu 0.1588 0.5141 0.5127
F5 F 0.8158 0.2061 0.7925
F6 F 0.6835 0.7057 0.7053
Cu3 Cu 0.6675 0.0009 0.0027
Cu4 Cu 0.5005 0.4996 0.4998
F7 F 0.9866 0.2771 0.2785
Cu5 Cu 0.8511 0.5192 0.5167
F8 F 0.1824 0.7967 0.2109
Cu6 Cu 0.3311 0.0072 0.0041
F9 F 0.1501 0.1982 0.7898
F10 F 0.5157 0.7950 0.2085
F11 F 0.4839 0.2081 0.7936

---

# Cu6OF11 | the Materials Project | PBE | relaxed
# SG: P1 (1)
# Energy above the lowest structure with this stoichiometry, kJ/mol of formula units: 0
# Uncorrected energy, eV/f.u.: -75.49
data_Cu6OF11
_chemical_formula_sum 'Cu6 O1 F11'
_symmetry_space_group_name_H-M 'P 1'
_symmetry_Int_Tables_number 1
_symmetry_space_group_name_Hall 'P 1'
_cell_length_a 5.6327
_cell_length_b 6.0514
_cell_length_c 7.0092
_cell_angle_alpha 76.19
_cell_angle_beta 73.21
_cell_angle_gamma 69.00
loop_
_atom_site_label
_atom_site_type_symbol
_atom_site_fract_x
_atom_site_fract_y
_atom_site_fract_z
Cu1 Cu 0.9815 0.9813 0.4994
Cu2 Cu 0.6683 0.6679 0.8212
F1 F 0.0887 0.0869 0.2104
Cu3 Cu 0.6722 0.6702 0.3426
Cu4 Cu 0.3349 0.3351 0.1680
F2 F 0.3570 0.9501 0.8449
F3 F 0.5865 0.5893 0.1216
Cu5 Cu 0.3329 0.3310 0.6655
Cu6 Cu 0.9998 0.0027 0.9992
F4 F 0.6415 0.0543 0.1543
F5 F 0.0258 0.6145 0.1837
F6 F 0.9110 0.9112 0.7934
F7 F 0.6899 0.2823 0.5119
F8 F 0.4212 0.4228 0.8770
F9 F 0.9762 0.3828 0.8214
F10 F 0.3130 0.7176 0.4862
F11 F 0.2407 0.2422 0.4574
O1 O 0.7588 0.7578 0.5420

---

# Cu3OF5 | the Materials Project | PBE | relaxed
# SG: P-1 (2)
# Energy above the lowest structure with this stoichiometry, kJ/mol of formula units: 0
# Uncorrected energy, eV/f.u.: -38.34
data_Cu3OF5
_chemical_formula_sum 'Cu6 O2 F10'
_symmetry_space_group_name_H-M 'P 1'
_symmetry_Int_Tables_number 1
_symmetry_space_group_name_Hall 'P 1'
_cell_length_a 7.8044
_cell_length_b 5.5236
_cell_length_c 5.3931
_cell_angle_alpha 71.11
_cell_angle_beta 106.98
_cell_angle_gamma 105.57
loop_
_atom_site_label
_atom_site_type_symbol
_atom_site_fract_x
_atom_site_fract_y
_atom_site_fract_z
F1 F 0.9941 0.7662 0.7978
F2 F 0.0059 0.2338 0.2022
F3 F 0.3071 0.1446 0.0906
F4 F 0.6552 0.9193 0.3944
F5 F 0.9794 0.2817 0.6760
O1 O 0.6585 0.3279 0.9855
F6 F 0.6543 0.4324 0.4520
Cu1 Cu 0.8212 0.3235 0.3165
Cu2 Cu 0.3371 0.3772 0.3022
Cu3 Cu 0.5000 0.0000 0.0000
F7 F 0.6929 0.8554 0.9094
F8 F 0.3448 0.0807 0.6056
Cu4 Cu 0.6629 0.6228 0.6978
O2 O 0.3415 0.6721 0.0145
F9 F 0.3457 0.5676 0.5480
Cu5 Cu 0.1788 0.6765 0.6835
Cu6 Cu 0.0000 0.0000 0.0000
F10 F 0.0206 0.7183 0.3240

---

# Cu2PO4F | the Materials Project | PBE | relaxed
# SG: C2/c (15)
# Uncorrected energy, eV/f.u.: -46.98
data_Cu2PO4F
_chemical_formula_sum 'Cu8 P4 O16 F4'
_symmetry_space_group_name_H-M 'P 1'
_symmetry_Int_Tables_number 1
_symmetry_space_group_name_Hall 'P 1'
_cell_length_a 7.1777
_cell_length_b 7.1777
_cell_length_c 10.1423
_cell_angle_alpha 63.90
_cell_angle_beta 63.90
_cell_angle_gamma 51.70
loop_
_atom_site_label
_atom_site_type_symbol
_atom_site_fract_x
_atom_site_fract_y
_atom_site_fract_z
F1 F 0.0947 0.8567 0.4023
O1 O 0.7707 0.5989 0.5962
F2 F 0.9053 0.1433 0.5977
O2 O 0.3611 0.0506 0.3095
O3 O 0.9385 0.3348 0.1322
P1 P 0.4348 0.2213 0.3016
O4 O 0.6389 0.9494 0.6905
P2 P 0.5652 0.7787 0.6984
O5 O 0.2293 0.4011 0.4038
Cu1 Cu 0.2680 0.0377 0.1512
O6 O 0.3536 0.4929 0.6358
Cu2 Cu 0.1957 0.6817 0.0018
Cu3 Cu 0.8043 0.3183 0.9982
O7 O 0.3348 0.9385 0.6322
Cu4 Cu 0.6817 0.1957 0.5018
O8 O 0.0615 0.6652 0.8678
O9 O 0.6464 0.5071 0.3642
O10 O 0.0506 0.3611 0.8095
P3 P 0.2213 0.4348 0.8016
O11 O 0.6652 0.0615 0.3678
O12 O 0.9494 0.6389 0.1905
F3 F 0.8567 0.0947 0.9023
Cu5 Cu 0.3183 0.8043 0.4982
P4 P 0.7787 0.5652 0.1984
Cu6 Cu 0.7320 0.9623 0.8488
Cu7 Cu 0.0377 0.2680 0.6512
Cu8 Cu 0.9623 0.7320 0.3488
O13 O 0.5071 0.6464 0.8642
O14 O 0.4011 0.2293 0.9038
F4 F 0.1433 0.9053 0.0977
O15 O 0.5989 0.7707 0.0962
O16 O 0.4929 0.3536 0.1358

---

# CuPO4F | the Materials Project | PBE | relaxed
# SG: P-1 (2)
# Uncorrected energy, eV/f.u.: -40.12
data_CuPO4F
_chemical_formula_sum 'Cu2 P2 O8 F2'
_symmetry_space_group_name_H-M 'P 1'
_symmetry_Int_Tables_number 1
_symmetry_space_group_name_Hall 'P 1'
_cell_length_a 5.1350
_cell_length_b 5.1733
_cell_length_c 7.1752
_cell_angle_alpha 108.27
_cell_angle_beta 106.71
_cell_angle_gamma 96.49
loop_
_atom_site_label
_atom_site_type_symbol
_atom_site_fract_x
_atom_site_fract_y
_atom_site_fract_z
P1 P 0.5611 0.8933 0.2410
O1 O 0.7596 0.2009 0.8752
O2 O 0.7038 0.8399 0.0730
O3 O 0.2404 0.7991 0.1248
Cu1 Cu 0.0000 0.0000 0.0000
F1 F 0.8481 0.6878 0.7330
O4 O 0.6442 0.6695 0.3362
O5 O 0.3558 0.3305 0.6638
P2 P 0.4389 0.1067 0.7590
F2 F 0.1519 0.3122 0.2670
O6 O 0.6676 0.1891 0.4090
O7 O 0.3324 0.8109 0.5910
Cu2 Cu 0.5000 0.5000 0.5000
O8 O 0.2962 0.1601 0.9270

---

How do the records compare in mass density? In the order shown, they have 3.80; 5.16; 3.63; 4.78; 4.77; 4.85; 4.48; 3.49 g/cm³.
How do the records compare in energy of formation from the pure elements? In the order shown, they have -1.433; -1.396; -0.876; -1.699; -1.703; -1.613; -1.859; -1.730 eV/atom.